Record 1
Compound: CaMn16O32
Source: the Materials Project database
Functional: GGA+U
Structure: relaxed Values from VASP.

```
&SYSTEM
  ibrav = 0, nat = 49, ntyp = 3
/
ATOMIC_SPECIES
Ca 40.08 Ca.upf
Mn 54.94 Mn.upf
O 16.00 O.upf
CELL_PARAMETERS angstrom
2.593 4.118 -3.349
1.638 5.488 8.018
8.806 -4.500 1.284
ATOMIC_POSITIONS angstrom
Ca 4.573 0.804 4.529
Mn 4.689 1.410 0.153
Mn 3.319 -0.662 1.756
Mn 9.196 0.230 2.194
Mn 7.911 -1.845 3.855
Mn 2.452 2.901 5.464
Mn 3.827 4.860 3.730
Mn 9.660 5.777 4.164
Mn 8.338 3.716 5.817
Mn 10.484 2.946 3.918
Mn 9.185 0.881 5.598
Mn 6.260 6.253 4.705
Mn 4.955 4.180 6.388
Mn 8.050 0.924 -0.447
Mn 6.753 -1.136 1.229
Mn 3.802 4.237 0.332
Mn 2.500 2.174 2.010
O 9.303 5.376 6.009
O 8.011 3.324 7.678
O 3.358 6.582 2.854
O 2.049 4.503 4.545
O 10.900 0.614 1.389
O 9.608 -1.437 3.057
O 5.013 1.799 -1.759
O 3.698 -0.289 -0.062
O 2.207 1.768 3.883
O 3.474 3.816 2.171
O 7.647 2.632 -1.262
O 6.373 0.557 0.409
O 6.652 4.569 5.558
O 7.958 6.611 3.872
O 9.505 1.294 3.741
O 10.780 3.359 2.058
O 9.968 2.663 5.784
O 11.281 4.716 4.114
O 3.168 3.738 7.049
O 4.480 5.744 5.322
O 1.686 0.413 1.812
O 3.044 2.452 0.161
O 8.535 -0.658 0.590
O 9.826 1.394 -1.097
O 5.520 3.302 0.335
O 4.133 1.098 2.127
O 8.707 1.836 1.155
O 7.396 -0.246 2.849
O 8.806 4.034 3.935
O 7.495 1.951 5.629
O 5.674 5.382 3.010
O 4.285 3.176 4.803
```

Summary:
total DFT energy (no corrections)	-7.1739	eV per atom
energy relative to the elements	-1903	meV per atom
symmetry	Pm, No. 6
density	4.09	Mg/m³
volume	580	Å³/cell

Record 2
Compound: CoPO4
Source: the Materials Project database
Functional: GGA+U
Structure: relaxed Values from VASP.

```
&SYSTEM
  ibrav = 0, nat = 48, ntyp = 3
/
ATOMIC_SPECIES
Co 58.93 Co.upf
P 30.97 P.upf
O 16.00 O.upf
CELL_PARAMETERS angstrom
5.229 0.000 0.000
0.000 10.465 0.000
0.000 0.000 13.472
ATOMIC_POSITIONS angstrom
Co 4.855 0.346 6.704
Co 2.892 2.254 3.360
Co 2.892 2.978 10.096
Co 4.855 4.886 13.439
Co 0.374 5.578 6.704
Co 2.337 7.487 3.360
Co 2.337 8.210 10.096
Co 0.374 10.119 13.439
P 2.278 0.346 8.404
P 0.256 2.304 11.756
P 0.256 2.928 5.021
P 2.278 4.886 1.668
P 2.952 5.578 8.404
P 4.973 7.537 11.756
P 4.973 8.160 5.021
P 2.952 10.119 1.668
O 4.455 10.388 1.396
O 2.146 0.044 0.398
O 2.548 0.473 2.921
O 0.021 0.792 12.006
O 2.525 1.849 8.674
O 4.695 2.491 3.759
O 5.022 2.148 6.281
O 1.765 2.568 11.519
O 1.765 2.664 4.783
O 5.022 3.085 13.017
O 4.695 2.741 10.495
O 2.525 3.383 1.938
O 0.021 4.440 5.270
O 2.548 4.759 9.657
O 2.146 5.189 7.134
O 4.455 5.309 8.132
O 0.775 5.156 1.396
O 3.083 5.276 0.398
O 2.681 5.705 2.921
O 5.208 6.024 12.006
O 2.704 7.082 8.674
O 0.534 7.723 3.759
O 0.207 7.380 6.281
O 3.464 7.801 11.519
O 3.464 7.896 4.783
O 0.207 8.317 13.017
O 0.534 7.974 10.495
O 2.704 8.615 1.938
O 5.208 9.673 5.270
O 2.681 9.992 9.657
O 3.083 10.421 7.134
O 0.775 0.076 8.132
```

Summary:
total DFT energy (no corrections)	-6.7496	eV per atom
energy relative to the elements	-2095	meV per atom
symmetry	Pca2_1, No. 29
density	2.77	Mg/m³
volume	737	Å³/cell

Record 3
Compound: TiMn2O4
Source: the Materials Project database
Functional: GGA+U
Structure: relaxed Values from VASP.

```
&SYSTEM
  ibrav = 0, nat = 70, ntyp = 3
/
ATOMIC_SPECIES
Ti 47.87 Ti.upf
Mn 54.94 Mn.upf
O 16.00 O.upf
CELL_PARAMETERS angstrom
-1.050 -2.625 5.509
4.110 -3.837 2.560
16.062 9.103 24.414
ATOMIC_POSITIONS angstrom
Ti 16.046 9.076 24.450
Ti 4.426 -1.584 5.375
Ti 1.902 -0.985 6.819
Ti 7.657 0.227 10.225
Ti 5.077 0.834 11.700
Ti 10.868 2.051 15.106
Ti 8.289 2.656 16.582
Ti 14.071 3.864 19.979
Ti 11.499 4.473 21.467
Ti 17.209 5.609 24.872
Mn 1.579 -1.116 3.213
Mn 4.796 0.743 8.108
Mn 2.300 -3.834 5.677
Mn 3.200 1.746 4.894
Mn 3.922 -2.920 8.097
Mn 5.524 -2.002 10.540
Mn 7.995 2.550 12.974
Mn 6.421 3.570 9.794
Mn 7.133 -1.082 12.980
Mn 11.203 4.372 17.854
Mn 9.631 5.390 14.676
Mn 8.738 -0.173 15.420
Mn 10.345 0.741 17.861
Mn 14.437 6.135 22.705
Mn 12.859 7.265 19.596
Mn 11.947 1.646 20.302
Mn 13.552 2.558 22.747
Mn 14.731 6.288 26.371
Mn 15.146 3.453 25.193
Mn 16.765 4.397 27.631
O 2.442 -1.689 5.008
O 3.877 -0.853 7.161
O 4.354 -3.418 6.107
O 1.920 -2.829 7.509
O 5.658 0.148 9.878
O 5.914 -2.968 8.693
O 7.077 0.963 12.027
O 3.491 -2.406 10.074
O 3.910 -5.018 8.968
O 7.550 -1.602 10.991
O 5.130 -1.034 12.374
O 5.385 -4.134 11.188
O 8.869 1.982 14.757
O 9.136 -1.124 13.589
O 10.288 2.781 16.910
O 6.720 -0.558 14.969
O 7.184 -3.132 13.925
O 10.754 0.217 15.867
O 8.338 0.783 17.247
O 8.606 -2.316 16.080
O 12.071 3.806 19.635
O 12.349 0.705 18.480
O 13.479 4.572 21.783
O 9.936 1.267 19.854
O 13.952 2.031 20.741
O 10.399 -1.300 18.810
O 11.540 2.591 22.115
O 11.817 -0.498 20.964
O 15.561 2.537 23.388
O 15.368 5.549 24.421
O 13.141 3.101 24.749
O 16.841 6.387 26.659
O 13.602 0.526 23.688
O 17.206 3.820 25.565
O 14.784 4.252 26.985
O 15.022 1.298 25.847
O 18.858 4.558 28.125
O 16.262 5.106 29.639
O 16.779 2.477 28.593
O 18.312 3.236 30.922
```

Summary:
total DFT energy (no corrections)	-8.3224	eV per atom
energy relative to the elements	-2618	meV per atom
symmetry	P1, No. 1
density	4.47	Mg/m³
volume	824	Å³/cell

Record 4
Compound: LiFe8O14F2
Source: the Materials Project database
Functional: GGA+U
Structure: relaxed Values from VASP.

```
&SYSTEM
  ibrav = 0, nat = 25, ntyp = 4
/
ATOMIC_SPECIES
Li 6.94 Li.upf
Fe 55.84 Fe.upf
O 16.00 O.upf
F 19.00 F.upf
CELL_PARAMETERS angstrom
6.302 -3.071 2.007
-2.716 -5.923 3.501
-0.647 -0.657 -5.470
ATOMIC_POSITIONS angstrom
Li -1.368 -4.747 -1.755
Fe 3.766 -4.028 -0.381
Fe -0.177 -8.061 -0.847
Fe 0.545 -2.599 -1.431
Fe 2.278 -7.111 1.567
Fe 1.909 -4.391 2.665
Fe 5.498 -3.670 -3.468
Fe -0.768 -5.564 0.564
Fe -1.327 -2.885 1.499
O 5.483 -4.263 0.653
O 4.586 -4.702 -2.010
O 2.887 -3.392 1.257
O 1.599 -1.521 -2.758
O 1.973 -3.986 -1.393
O 3.165 -5.839 2.720
O 1.528 -8.101 0.156
O -0.175 -3.772 -2.855
O 1.051 -5.630 1.464
O 1.282 -7.982 3.011
O -0.517 -3.720 -0.048
O -0.052 -6.147 -1.128
O -1.649 -4.853 2.095
O -2.674 -5.376 -0.540
F 3.523 -6.098 -0.085
F 1.322 -1.408 0.067
```

Summary:
total DFT energy (no corrections)	-6.1074	eV per atom
energy relative to the elements	-1540	meV per atom
symmetry	P1, No. 1
density	4.45	Mg/m³
volume	267	Å³/cell

Record 5
Compound: Fe2PHO3F2
Source: the Materials Project database
Functional: GGA+U
Structure: relaxed Values from VASP.

```
&SYSTEM
  ibrav = 0, nat = 36, ntyp = 5
/
ATOMIC_SPECIES
Fe 55.84 Fe.upf
P 30.97 P.upf
H 1.01 H.upf
O 16.00 O.upf
F 19.00 F.upf
CELL_PARAMETERS angstrom
-1.736 -5.257 0.938
5.735 -1.065 4.642
-5.681 3.263 7.767
ATOMIC_POSITIONS angstrom
Fe 2.240 -0.855 7.839
Fe 1.534 -1.532 2.571
Fe -6.075 -0.968 8.451
Fe -1.064 -2.763 7.833
Fe -3.923 -2.204 5.508
Fe -3.217 -1.527 10.777
Fe 4.393 -2.091 4.896
Fe -0.618 -0.296 5.514
P -0.185 -0.663 10.112
P -2.456 1.675 7.469
P -1.497 -2.397 3.235
P 0.774 -4.734 5.878
H -0.230 0.615 9.543
H -3.291 0.561 7.327
H -1.452 -3.674 3.804
H 1.609 -3.620 6.021
O 1.154 -1.298 9.690
O -2.475 2.065 8.960
O -1.410 -2.581 1.707
O -0.634 -4.305 6.337
O -2.837 -1.761 3.657
O 0.793 -5.124 4.387
O -0.272 -0.479 11.640
O -1.049 1.246 7.010
O -1.401 -1.480 9.566
O -4.760 -2.433 7.510
O -0.281 -1.580 3.781
O 3.078 -0.626 5.837
F 0.429 -1.415 6.957
F 0.480 -0.440 1.133
F -4.441 -0.306 9.576
F 0.168 -3.958 9.029
F -2.111 -1.644 6.390
F -2.162 -2.619 12.214
F 2.759 -2.753 3.772
F -1.850 0.898 4.319
```

Summary:
total DFT energy (no corrections)	-6.2361	eV per atom
energy relative to the elements	-2134	meV per atom
symmetry	Pnma, No. 62
density	3.59	Mg/m³
volume	425	Å³/cell

Record 6
Compound: Li2MnP2O7
Source: the Materials Project database
Functional: GGA+U
Structure: relaxed Values from VASP.

```
&SYSTEM
  ibrav = 0, nat = 48, ntyp = 4
/
ATOMIC_SPECIES
Li 6.94 Li.upf
Mn 54.94 Mn.upf
P 30.97 P.upf
O 16.00 O.upf
CELL_PARAMETERS angstrom
-0.736 6.706 2.966
-0.283 0.065 8.381
10.444 -0.395 -0.406
ATOMIC_POSITIONS angstrom
Li 0.802 5.503 7.124
Li 6.024 5.308 6.922
Li 3.400 1.069 4.018
Li 8.621 0.874 3.816
Li 0.644 5.831 10.831
Li 5.866 5.635 10.628
Li 3.558 0.742 0.313
Li 8.780 0.546 0.110
Mn 5.731 1.677 6.620
Mn 3.691 4.698 4.319
Mn 0.512 1.877 6.824
Mn 8.915 4.503 4.117
P 3.181 5.703 9.307
P 8.403 5.506 9.104
P 1.021 0.871 1.836
P 6.243 0.674 1.634
P 3.240 3.582 7.358
P 8.462 3.385 7.155
P 0.961 2.992 3.786
P 6.184 2.795 3.583
O 0.380 4.414 3.702
O 5.602 4.218 3.499
O 3.821 2.159 7.442
O 9.045 1.963 7.239
O 4.081 4.481 6.440
O 9.304 4.285 6.239
O 0.120 2.092 4.702
O 5.343 1.896 4.500
O -0.616 6.480 9.512
O 4.606 6.283 9.308
O 4.818 0.094 1.632
O 10.040 -0.102 1.429
O 0.824 2.431 2.265
O 6.045 2.234 2.062
O 3.379 4.143 8.879
O 8.600 3.946 8.676
O 1.611 0.924 0.406
O 6.833 0.727 0.203
O 2.591 5.650 10.738
O 7.813 5.453 10.535
O 1.962 0.203 2.822
O 7.185 0.006 2.618
O 2.239 6.371 8.322
O 7.462 6.173 8.119
O 2.463 2.976 4.115
O 7.686 2.780 3.911
O 1.738 3.598 7.029
O 6.961 3.400 6.825
```

Summary:
total DFT energy (no corrections)	-6.9953	eV per atom
energy relative to the elements	-2665	meV per atom
density	2.77	Mg/m³
volume	582	Å³/cell

Record 7
Compound: SrCrO3
Source: the Materials Project database
Functional: GGA+U
Structure: relaxed Values from VASP.

```
&SYSTEM
  ibrav = 0, nat = 20, ntyp = 3
/
ATOMIC_SPECIES
Sr 87.62 Sr.upf
Cr 52.00 Cr.upf
O 16.00 O.upf
CELL_PARAMETERS angstrom
-1.474 2.200 4.863
1.276 -5.381 -0.272
8.884 2.016 1.781
ATOMIC_POSITIONS angstrom
Sr 1.658 0.192 3.609
Sr 4.244 -2.173 5.482
Sr -0.198 -3.181 4.591
Sr 7.028 -1.359 2.766
Cr 7.337 1.463 4.695
Cr 4.890 0.907 4.204
Cr 3.798 -2.037 2.117
Cr 1.351 -2.592 1.626
O 3.724 2.089 3.364
O 8.125 3.087 4.246
O 6.375 1.319 2.992
O 5.690 2.323 5.271
O 6.272 -0.122 5.137
O 5.058 -1.714 0.786
O 0.657 -2.713 -0.096
O 2.404 -0.989 1.222
O 4.341 -0.606 3.220
O -0.101 -1.614 2.329
O 2.995 -3.501 1.119
O 2.323 -2.491 3.325
```

Summary:
total DFT energy (no corrections)	-7.0000	eV per atom
energy relative to the elements	-2575	meV per atom
symmetry	Ama2, No. 40
density	5.02	Mg/m³
volume	248	Å³/cell